(1)
# ZnCoBi2O7

ZnCoBi2O7 after structural relaxation (PBE+U, the Materials Project).

## Properties
Total energy after the MP2020 corrections ... -517.01 eV per cell
Energy relative to the elements ... -1258 meV per atom
Raw total energy ... -5.29 eV/atom

The structure in extended XYZ format:
```
88
Lattice="7.1125 0.0000 0.0000 0.0000 15.2601 0.0000 -2.4881 0.0000 11.3239" Properties=species:S:1:pos:R:3 pbc="T T T"
Zn -0.4808 0.2383 4.1649
Zn -1.7249 7.3918 9.8268
Zn 0.4987 9.2255 4.2888
Zn -0.7454 13.6646 9.9507
Zn 5.3697 1.5955 1.3732
Zn 4.1256 6.0346 7.0351
Zn 6.3492 7.8683 1.4971
Zn 5.1051 15.0218 7.1590
Co -0.5777 3.7635 2.7668
Co -1.8217 3.8666 8.4287
Co 1.4213 2.6464 4.6643
Co 0.1772 4.9837 10.3262
Co 4.4471 10.2764 0.9976
Co 3.2031 12.6137 6.6596
Co 6.4461 11.3935 2.8951
Co 5.2020 11.4966 8.5571
Bi -1.5245 1.5198 10.9410
Bi -0.2805 6.1103 5.2791
Bi 0.8750 10.6878 0.1398
Bi -0.3691 12.2023 5.8017
Bi 2.5330 7.6967 1.7950
Bi 1.2889 15.1935 7.4570
Bi 1.6564 3.2730 7.8369
Bi 2.9004 4.3570 2.1750
Bi 1.7239 10.9031 9.1489
Bi 2.9680 11.9871 3.4869
Bi 3.3354 0.0666 3.8669
Bi 2.0913 7.5634 9.5288
Bi 4.9934 3.0578 5.5221
Bi 3.7493 4.5723 11.1841
Bi 4.9048 9.1498 6.0448
Bi 6.1489 13.7403 0.3829
O -1.5753 2.3276 7.4292
O -0.3312 5.3024 1.7673
O -0.0361 2.7576 1.2268
O -1.2801 4.8724 6.8887
O -0.5026 2.3367 4.2340
O -1.7467 5.2934 9.8959
O -0.9803 10.5781 7.2464
O 0.2638 12.3120 1.5845
O -0.1287 8.3226 5.8648
O 1.1153 14.5676 0.2029
O 1.1876 8.3351 0.2193
O -0.0564 14.5551 5.8812
O 0.6863 7.8328 2.9422
O -0.5578 15.0573 8.6042
O -0.1211 3.6430 9.0740
O 1.1230 3.9870 3.4121
O 1.0229 11.0927 3.8471
O -0.2212 11.7974 9.5090
O 1.4548 1.0192 3.6040
O 0.2107 6.6108 9.2660
O 2.4036 3.5415 0.2288
O 1.1595 4.0885 5.8907
O 2.6413 10.4494 1.4472
O 1.3973 12.4408 7.1092
O 1.7659 1.6536 6.2426
O 3.0100 5.9765 0.5806
O 1.5692 9.0722 8.0948
O 2.8133 13.8179 2.4329
O 1.8110 1.4422 8.8910
O 3.0551 6.1879 3.2291
O 1.6144 9.2836 10.7432
O 2.8584 13.6065 5.0813
O 3.2271 2.8193 4.2147
O 1.9830 4.8107 9.8766
O 3.4648 11.1716 5.4331
O 2.2207 11.7186 11.0951
O 4.4136 8.6493 2.0579
O 3.1695 14.2409 7.7198
O 4.8455 3.4627 1.8148
O 3.6014 4.1674 7.4768
O 3.5014 11.2731 7.9118
O 4.7454 11.6171 2.2499
O 5.1821 0.2028 2.7197
O 3.9380 7.4273 8.3816
O 4.6808 0.7050 5.4426
O 3.4367 6.9250 11.1046
O 3.5090 0.6925 11.1210
O 4.7531 6.9375 5.4591
O 4.3606 2.9481 9.7394
O 5.6046 4.6820 4.0775
O 6.3710 9.9667 1.4280
O 5.1270 12.9234 7.0899
O 5.9044 10.3877 4.4352
O 4.6604 12.5025 10.0971
O 4.9555 9.9577 9.5566
O 6.1996 12.9325 3.8947
```

(2)
# HoMnO3

HoMnO3 after structural relaxation (PBE+U, the Materials Project).

## Properties
Total energy after the MP2020 corrections ... -254.19 eV per cell
Energy relative to the elements ... -2755 meV per atom
Raw total energy ... -7.73 eV/atom

The structure in extended XYZ format:
```
30
Lattice="5.4358 -2.8062 0.0000 5.4358 2.8062 0.0000 0.0000 0.0000 12.5438" Properties=species:S:1:pos:R:3 pbc="T T T"
Ho 5.4358 2.6516 6.2719
Ho 3.6222 0.1893 11.8891
Ho 3.6222 -0.1893 5.6172
Ho 7.2495 0.1893 11.8891
Ho 7.2495 -0.1893 5.6172
Ho 5.4358 -2.6516 0.0000
Mn 1.9492 0.7678 2.2913
Mn 1.9492 -0.7678 8.5633
Mn 5.4358 0.5584 2.5457
Mn 5.4358 -0.5584 8.8176
Mn 8.9224 0.7678 2.2913
Mn 8.9224 -0.7678 8.5633
O 3.7979 1.8662 5.1238
O 5.4358 2.7007 2.3811
O 2.2148 0.8115 7.3398
O 5.4358 1.1932 11.4217
O 3.6819 0.2478 9.4297
O 7.0737 1.8662 5.1238
O 2.2148 -0.8115 1.0679
O 3.6819 -0.2478 3.1578
O 5.4358 0.4906 7.2563
O 5.4358 -0.4906 0.9843
O 7.1897 0.2478 9.4297
O 8.6569 0.8115 7.3398
O 3.7979 -1.8662 11.3957
O 7.1897 -0.2478 3.1578
O 5.4358 -1.1932 5.1498
O 8.6569 -0.8115 1.0679
O 5.4358 -2.7007 8.6531
O 7.0737 -1.8662 11.3957
```